# 1
First-principles (PBE) data for a relaxed LiEr4Zr4O14 crystal, as listed in Materials Project.

Cell: 3.6255 7.5370 10.7030 Å, 90.00 90.00 90.00°
Space group Pmm2 (No. 25)
Symmetry-distinct sites (fractional):
Li: 0.0000 0.0000 0.0000 x1
Er: 0.0000 0.0000 0.2694 x1
Er: 0.0000 0.5000 0.7297 x1
Er: 0.5000 0.2720 0.9888 x2
Zr: 0.0000 0.0000 0.7457 x1
Zr: 0.0000 0.5000 0.2544 x1
Zr: 0.5000 0.2604 0.4942 x2
O: 0.0000 0.1972 0.1071 x2
O: 0.0000 0.2343 0.5940 x2
O: 0.0000 0.2545 0.8469 x2
O: 0.0000 0.2679 0.3558 x2
O: 0.5000 0.0000 0.3899 x1
O: 0.5000 0.0000 0.6544 x1
O: 0.5000 0.0000 0.9189 x1
O: 0.5000 0.5000 0.1372 x1
O: 0.5000 0.5000 0.3852 x1
O: 0.5000 0.5000 0.6201 x1

Calculated values
The relative energy among the computed polymorphs comes out at 0.000 eV per atom. The total energy comes out at -8.588 eV/atom. For the formation energy, the calculation gives -3.630 eV per atom. As for the crystal system: orthorhombic.

# 2
First-principles (PBE) data for a relaxed LiEr4Zr4O14 crystal, as listed in Materials Project.

Cell: 7.7438 3.5426 10.7938 Å, 90.00 91.39 90.00°
Space group Pm (No. 6)
Symmetry-distinct sites (fractional):
Li: 0.0000 0.0000 0.0000 x1
Er: 0.0065 0.0000 0.2677 x1
Er: 0.2390 0.5000 0.5402 x1
Er: 0.5131 0.0000 0.2750 x1
Er: 0.7242 0.5000 0.0072 x1
Zr: 0.2749 0.5000 0.0415 x1
Zr: 0.4991 0.0000 0.7740 x1
Zr: 0.7107 0.5000 0.5260 x1
Zr: 0.9747 0.0000 0.7432 x1
O: 0.0893 0.5000 0.3673 x1
O: 0.2197 0.0000 0.9372 x1
O: 0.2312 0.0000 0.6627 x1
O: 0.2596 0.0000 0.1767 x1
O: 0.4637 0.5000 0.8877 x1
O: 0.4759 0.5000 0.4058 x1
O: 0.4963 0.5000 0.6500 x1
O: 0.5181 0.5000 0.1393 x1
O: 0.7244 0.0000 0.6556 x1
O: 0.7258 0.0000 0.8956 x1
O: 0.7593 0.0000 0.4086 x1
O: 0.9665 0.5000 0.6030 x1
O: 0.9709 0.5000 0.8438 x1
O: 0.9936 0.5000 0.0994 x1

Calculated values
The relative energy among the computed polymorphs comes out at 0.015 eV per atom. The total energy comes out at -8.573 eV/atom. For the formation energy, the calculation gives -3.615 eV per atom. As for the crystal system: monoclinic.

# 3
First-principles (PBE) data for a relaxed LiEr4Zr4O14 crystal, as listed in Materials Project.

Cell: 3.6299 7.5387 10.7120 Å, 90.00 90.46 90.00°
Space group Pm (No. 6)
Symmetry-distinct sites (fractional):
Li: 0.0000 0.0000 0.0000 x1
Er: 0.4948 0.2725 0.0129 x2
Er: 0.9722 0.0000 0.7322 x1
Er: 0.9768 0.5000 0.2724 x1
Zr: 0.4752 0.2607 0.5077 x2
Zr: 0.9638 0.0000 0.2553 x1
Zr: 0.9772 0.5000 0.7480 x1
O: 0.4659 0.5000 0.6168 x1
O: 0.4675 0.0000 0.6114 x1
O: 0.4715 0.0000 0.3453 x1
O: 0.4774 0.5000 0.3817 x1
O: 0.4836 0.5000 0.8650 x1
O: 0.5072 0.0000 0.0805 x1
O: 0.9645 0.2679 0.6462 x2
O: 0.9715 0.2342 0.4082 x2
O: 0.9925 0.1984 0.8941 x2
O: 0.9956 0.2548 0.1548 x2

Calculated values
The relative energy among the computed polymorphs comes out at 0.000 eV per atom. The total energy comes out at -8.587 eV/atom. For the formation energy, the calculation gives -3.630 eV per atom. As for the crystal system: monoclinic.

# 4
First-principles (PBE) data for a relaxed LiErS2 crystal, as listed in Materials Project.

Cell: 5.3981 5.3981 11.0015 Å, 90.00 90.00 90.00°
Space group I4_1/amd (No. 141, origin choice 2)
Symmetry-distinct sites (fractional):
Li: 0.0000 0.2500 0.3750 x4
Er: 0.0000 0.2500 0.8750 x4
S: 0.0000 0.2500 0.1205 x8

Calculated values
The total energy comes out at -5.533 eV/atom. For the formation energy, the calculation gives -2.097 eV per atom. As for the crystal system: tetragonal.

# 5
First-principles (PBE) data for a relaxed LiErS2 crystal, as listed in Materials Project.

Cell: 3.8750 3.8750 18.4981 Å, 90.00 90.00 120.00°
Space group R-3m (No. 166, hexagonal axes)
Symmetry-distinct sites (fractional):
Li: 0.0000 0.0000 0.0000 x3
Er: 0.0000 0.0000 0.5000 x3
S: 0.0000 0.0000 0.2498 x6

Calculated values
The total energy comes out at -5.542 eV/atom. For the formation energy, the calculation gives -2.106 eV per atom. As for the crystal system: trigonal.

# 6
First-principles (PBE) data for a relaxed LiErS2 crystal, as listed in Materials Project.

Cell: 3.8826 3.8826 5.2773 Å, 90.00 90.00 90.00°
Space group P4/mmm (No. 123)
Symmetry-distinct sites (fractional):
Li: 0.0000 0.0000 0.0000 x1
Er: 0.5000 0.5000 0.5000 x1
S: 0.0000 0.0000 0.5000 x1
S: 0.5000 0.5000 0.0000 x1

Calculated values
The total energy comes out at -5.461 eV/atom. For the formation energy, the calculation gives -2.025 eV per atom. As for the crystal system: tetragonal.

# 7
First-principles (PBE) data for a relaxed LiErSn2 crystal, as listed in Materials Project.

Cell: 4.2681 18.9472 4.5933 Å, 90.00 90.00 90.00°
Space group Cmcm (No. 63)
Symmetry-distinct sites (fractional):
Li: 0.0000 0.1718 0.2500 x4
Er: 0.0000 0.3934 0.2500 x4
Sn: 0.0000 0.0423 0.2500 x4
Sn: 0.0000 0.2459 0.7500 x4

Calculated values
The total energy comes out at -4.010 eV/atom. For the formation energy, the calculation gives -0.386 eV per atom. As for the crystal system: orthorhombic.

# 8
First-principles (PBE) data for a relaxed LiErSn crystal, as listed in Materials Project.

Cell: 9.3427 9.3427 7.2581 Å, 90.00 90.00 120.00°
Space group P6_3mc (No. 186)
Symmetry-distinct sites (fractional):
Li: 0.1667 0.3335 0.0000 x6
Li: 0.3333 0.6667 0.6195 x2
Er: 0.0000 0.0000 0.2880 x2
Er: 0.0247 0.5123 0.2943 x6
Sn: 0.1670 0.3340 0.5571 x6
Sn: 0.3333 0.6667 0.0263 x2

Calculated values
The total energy comes out at -4.130 eV/atom. For the formation energy, the calculation gives -0.635 eV per atom. As for the crystal system: hexagonal.

# 9
First-principles (PBE) data for a relaxed LiEr2Tc crystal, as listed in Materials Project.

Cell: 6.9281 6.9281 6.9281 Å, 90.00 90.00 90.00°
Space group Fm-3m (No. 225)
Symmetry-distinct sites (fractional):
Li: 0.0000 0.0000 0.0000 x4
Er: 0.2500 0.2500 0.2500 x8
Tc: 0.0000 0.0000 0.5000 x4

Calculated values
The total energy comes out at -5.415 eV/atom. For the formation energy, the calculation gives -0.064 eV per atom. As for the crystal system: cubic.

# 10
First-principles (PBE) data for a relaxed ErLu3 crystal, as listed in Materials Project.

Cell: 7.0746 7.0746 5.5060 Å, 90.00 90.00 120.00°
Space group P6_3/mmc (No. 194)
Symmetry-distinct sites (fractional):
Er: 0.3333 0.6667 0.2500 x2
Lu: 0.1663 0.3326 0.7500 x6

Calculated values
The total energy comes out at -4.531 eV/atom. For the formation energy, the calculation gives 0.002 eV per atom. As for the crystal system: hexagonal.

# 11
First-principles (PBE) data for a relaxed ErLuPd2 crystal, as listed in Materials Project.

Cell: 6.9089 6.9089 6.9089 Å, 90.00 90.00 90.00°
Space group Fm-3m (No. 225)
Symmetry-distinct sites (fractional):
Er: 0.0000 0.0000 0.0000 x4
Lu: 0.0000 0.0000 0.5000 x4
Pd: 0.2500 0.2500 0.2500 x8

Calculated values
The total energy comes out at -5.812 eV/atom. For the formation energy, the calculation gives -0.950 eV per atom. As for the crystal system: cubic.

# 12
First-principles (PBE) data for a relaxed ErLuZn2 crystal, as listed in Materials Project.

Cell: 7.0158 7.0158 7.0158 Å, 90.00 90.00 90.00°
Space group Fm-3m (No. 225)
Symmetry-distinct sites (fractional):
Er: 0.0000 0.0000 0.0000 x4
Lu: 0.0000 0.0000 0.5000 x4
Zn: 0.2500 0.2500 0.2500 x8

Calculated values
The total energy comes out at -3.259 eV/atom. For the formation energy, the calculation gives -0.357 eV per atom. As for the crystal system: cubic.